No. 1
A geometry-optimized Li9Mn2Co5O16 structure. Source: the Materials Project database, functional PBE with a Hubbard U.

The structure in POSCAR format:
```
Li9Mn2Co5O16
1.0
5.158 0.000 0.000
-0.868 7.646 0.000
-2.518 -0.892 7.284
O Li Mn Co
16 9 2 5
direct
0.978 0.150 0.206
0.636 0.707 0.401
0.248 0.596 0.035
0.025 0.841 0.800
0.902 0.480 0.670
0.375 0.969 0.152
0.360 0.284 0.590
0.775 0.106 0.536
0.512 0.335 0.284
0.854 0.784 0.078
0.220 0.908 0.453
0.737 0.414 0.958
0.104 0.527 0.339
0.628 0.036 0.854
0.141 0.210 0.917
0.501 0.650 0.727
0.438 0.815 0.930
0.315 0.438 0.809
0.940 0.314 0.439
0.184 0.060 0.681
0.056 0.691 0.559
0.690 0.559 0.191
0.562 0.185 0.063
0.810 0.937 0.323
0.627 0.875 0.627
0.871 0.627 0.872
0.995 0.999 0.997
0.124 0.376 0.129
0.748 0.239 0.741
0.379 0.126 0.378
0.258 0.755 0.261
0.505 0.508 0.502
```

Computed properties:
The calculation puts the total magnetic moment at 0.19 μB/atom. The polymorph energy (0 for the lowest one) comes out at 2.4 kJ/mol of atoms. For the formation energy, the calculation gives -5679 kJ/mol of formula units. The energy with MP2020 corrections comes out at -6.533 eV/atom. The value obtained for the volume is 8.98 A^3/atom.


No. 2
A geometry-optimized NaMg4V3O12 structure. Source: the Materials Project database, functional PBE with a Hubbard U.

The structure in POSCAR format:
```
NaMg4V3O12
1.0
-3.486 3.486 9.754
3.486 -3.486 9.754
3.486 3.486 -9.754
O Mg V Na
24 8 6 2
direct
0.620 0.890 0.813
0.640 0.870 0.313
0.556 0.326 0.687
0.674 0.360 0.230
0.258 0.568 0.709
0.496 0.149 0.237
0.130 0.444 0.770
0.890 0.682 0.190
0.432 0.140 0.690
0.860 0.549 0.291
0.318 0.508 0.209
0.110 0.924 0.730
0.299 0.110 0.791
0.913 0.259 0.763
0.076 0.806 0.187
0.837 0.101 0.847
0.009 0.163 0.263
0.194 0.380 0.270
0.254 0.991 0.153
0.451 0.742 0.310
0.741 0.504 0.653
0.851 0.087 0.347
0.899 0.746 0.737
0.492 0.701 0.810
0.524 0.024 0.500
0.117 0.125 0.492
0.226 0.226 0.000
0.976 0.476 0.500
0.875 0.367 0.992
0.375 0.883 0.008
0.774 0.774 0.000
0.633 0.625 0.508
0.000 0.000 0.000
0.224 0.625 0.099
0.750 0.250 0.500
0.526 0.125 0.901
0.375 0.474 0.599
0.875 0.776 0.401
0.250 0.750 0.500
0.500 0.500 0.000
```

Computed properties:
The calculation puts the total magnetic moment at 0.00 μB/atom. The calculation puts the piezoelectric modulus e_max at 0.185 C/m². For the formation energy, the calculation gives -5247 kJ/mol of formula units. The energy with MP2020 corrections comes out at -7.436 eV/atom. The value obtained for the volume is 11.86 A^3/atom.


No. 3
A geometry-optimized LiFeSe2O6 structure. Source: the Materials Project database, functional PBE with a Hubbard U.

The structure in POSCAR format:
```
LiFeSe2O6
1.0
-5.424 5.424 5.078
5.424 -5.424 5.078
5.424 5.424 -5.078
O Li Se Fe
24 4 8 4
direct
0.711 0.575 0.280
0.682 0.045 0.220
0.825 0.461 0.780
0.322 0.164 0.477
0.414 0.072 0.977
0.928 0.904 0.341
0.425 0.705 0.137
0.563 0.586 0.659
0.877 0.669 0.628
0.919 0.627 0.128
0.955 0.175 0.637
0.836 0.313 0.159
0.751 0.123 0.792
0.568 0.289 0.863
0.209 0.081 0.708
0.331 0.959 0.208
0.041 0.249 0.372
0.295 0.432 0.720
0.539 0.318 0.363
0.499 0.791 0.872
0.373 0.501 0.292
0.154 0.678 0.841
0.687 0.846 0.523
0.096 0.437 0.023
0.560 0.375 0.685
0.625 0.310 0.185
0.690 0.875 0.315
0.125 0.440 0.815
0.933 0.713 0.329
0.866 0.037 0.720
0.854 0.134 0.171
0.384 0.604 0.671
0.287 0.616 0.220
0.396 0.067 0.780
0.963 0.683 0.829
0.317 0.146 0.280
0.125 0.162 0.537
0.838 0.375 0.963
0.625 0.588 0.463
0.412 0.875 0.037
```

Computed properties:
The calculation puts the total magnetic moment at 0.50 μB/atom. For the formation energy, the calculation gives -1539 kJ/mol of formula units. The energy with MP2020 corrections comes out at -6.301 eV/atom. The value obtained for the volume is 14.94 A^3/atom.


No. 4
A geometry-optimized Sr2DyMoO6 structure. Source: the Materials Project database, functional PBE with a Hubbard U.

The structure in POSCAR format:
```
Sr2DyMoO6
1.0
-4.078 -0.438 -4.157
3.131 -4.235 -2.626
0.021 -5.337 8.635
Dy Mo Sr O
2 2 4 12
direct
0.500 0.000 0.000
0.500 0.500 0.500
0.000 0.000 0.500
0.000 0.500 0.000
0.245 0.035 0.248
0.245 0.465 0.748
0.755 0.535 0.252
0.755 0.965 0.752
0.688 0.983 0.263
0.846 0.782 0.040
0.763 0.190 0.535
0.763 0.310 0.035
0.237 0.690 0.965
0.312 0.483 0.237
0.688 0.517 0.763
0.154 0.218 0.960
0.237 0.810 0.465
0.846 0.718 0.540
0.312 0.017 0.737
0.154 0.282 0.460
```

Computed properties:
The calculation puts the total magnetic moment at 0.10 μB/atom. For the formation energy, the calculation gives -2986 kJ/mol of formula units. The energy with MP2020 corrections comes out at -7.947 eV/atom. The value obtained for the volume is 14.36 A^3/atom.


No. 5
A geometry-optimized FeP2NO7 structure. Source: the Materials Project database, functional PBE with a Hubbard U.

The structure in POSCAR format:
```
FeP2NO7
1.0
4.110 3.406 5.662
-1.481 6.169 -5.538
-8.501 2.272 4.804
O N P Fe
28 4 8 4
direct
0.310 0.788 0.941
0.098 0.290 0.753
0.902 0.210 0.253
0.022 0.266 0.023
0.690 0.712 0.441
0.424 0.216 0.785
0.424 0.716 0.715
0.978 0.234 0.523
0.387 0.263 0.080
0.162 0.517 0.578
0.902 0.710 0.247
0.340 0.501 0.898
0.340 0.001 0.602
0.660 0.999 0.398
0.022 0.766 0.477
0.613 0.737 0.920
0.978 0.734 0.977
0.838 0.483 0.422
0.838 0.983 0.078
0.162 0.017 0.922
0.660 0.499 0.102
0.613 0.237 0.580
0.576 0.284 0.285
0.310 0.288 0.559
0.098 0.790 0.747
0.690 0.212 0.059
0.387 0.763 0.420
0.576 0.784 0.215
0.201 0.521 0.195
0.799 0.979 0.695
0.201 0.021 0.305
0.799 0.479 0.805
0.869 0.665 0.394
0.426 0.180 0.635
0.426 0.680 0.865
0.131 0.335 0.606
0.574 0.820 0.365
0.869 0.165 0.106
0.131 0.835 0.894
0.574 0.320 0.135
0.239 0.760 0.585
0.761 0.240 0.415
0.761 0.740 0.085
0.239 0.260 0.915
```

Computed properties:
The calculation puts the total magnetic moment at 0.64 μB/atom. For the formation energy, the calculation gives -1679 kJ/mol of formula units. The energy with MP2020 corrections comes out at -7.242 eV/atom. The value obtained for the volume is 14.45 A^3/atom.


No. 6
A geometry-optimized Li2MnSiO4 structure. Source: the Materials Project database, functional PBE with a Hubbard U.

The structure in POSCAR format:
```
Li2MnSiO4
1.0
-2.283 0.869 -4.522
2.327 -5.489 -2.230
-9.014 -5.259 3.540
Li O Si Mn
8 16 4 4
direct
0.189 0.619 0.341
0.297 0.870 0.073
0.689 0.119 0.159
0.797 0.370 0.427
0.203 0.870 0.573
0.311 0.619 0.841
0.703 0.370 0.927
0.811 0.119 0.659
0.196 0.374 0.446
0.217 0.581 0.662
0.868 0.361 0.085
0.132 0.861 0.915
0.717 0.081 0.838
0.804 0.874 0.554
0.632 0.361 0.585
0.304 0.374 0.946
0.283 0.581 0.162
0.696 0.874 0.054
0.700 0.654 0.846
0.800 0.654 0.346
0.200 0.154 0.654
0.368 0.861 0.415
0.783 0.081 0.338
0.300 0.154 0.154
0.190 0.368 0.086
0.310 0.368 0.586
0.690 0.868 0.414
0.810 0.868 0.914
0.195 0.116 0.333
0.805 0.616 0.667
0.305 0.116 0.833
0.695 0.616 0.167
```

Computed properties:
The calculation puts the total magnetic moment at 0.62 μB/atom. The polymorph energy (0 for the lowest one) comes out at 0.9 kJ/mol of atoms. For the formation energy, the calculation gives -2069 kJ/mol of formula units. The energy with MP2020 corrections comes out at -7.455 eV/atom. The value obtained for the volume is 11.27 A^3/atom.